Density functional theory data (PBE+U) for an optimized crystal structure of FeP4O12.

Results
space-group type	No. 15
raw total energy	-6.97	eV/atom
relative energy among the computed polymorphs	28	meV per atom
energy of formation	-2.32	eV/atom

abc: 7.083 7.083 9.514
angles: 88.46 88.46 108.98
Sites, in units of the cell vectors:
Fe1 0.395 0.605 0.250
Fe2 0.605 0.395 0.750
P1 0.780 0.704 0.472
P2 0.704 0.780 0.972
P3 0.223 0.871 0.466
P4 0.871 0.223 0.966
P5 0.220 0.296 0.528
P6 0.129 0.777 0.034
P7 0.296 0.220 0.028
P8 0.777 0.129 0.534
O1 0.620 0.642 0.855
O2 0.842 0.368 0.856
O3 0.106 0.268 0.969
O4 0.002 0.798 0.402
O5 0.368 0.842 0.356
O6 0.429 0.217 0.903
O7 0.783 0.571 0.597
O8 0.202 0.998 0.098
O9 0.158 0.632 0.144
O10 0.770 0.224 0.392
O11 0.217 0.429 0.403
O12 0.268 0.106 0.469
O13 0.380 0.358 0.145
O14 0.358 0.380 0.645
O15 0.224 0.770 0.892
O16 0.798 0.002 0.902
O17 0.894 0.732 0.031
O18 0.998 0.202 0.598
O19 0.230 0.776 0.608
O20 0.632 0.158 0.644
O21 0.732 0.894 0.531
O22 0.776 0.230 0.108
O23 0.642 0.620 0.355
O24 0.571 0.783 0.097



Density functional theory data (PBE+U) for an optimized crystal structure of SrMg6FeO8.

Results
space-group type	No. 123
raw total energy	-5.90	eV/atom
relative energy among the computed polymorphs	0	meV per atom
energy of formation	-2.67	eV/atom

abc: 8.708 4.527 4.527
angles: 90.00 90.00 90.00
Sites, in units of the cell vectors:
Sr1 0.500 0.000 0.000
Mg1 0.000 0.500 0.500
Mg2 0.500 0.500 0.500
Mg3 0.238 0.000 0.500
Mg4 0.762 0.000 0.500
Mg5 0.238 0.500 0.000
Mg6 0.762 0.500 0.000
Fe1 0.000 0.000 0.000
O1 0.229 0.000 0.000
O2 0.771 0.000 0.000
O3 0.249 0.500 0.500
O4 0.751 0.500 0.500
O5 0.000 0.000 0.500
O6 0.500 0.000 0.500
O7 0.000 0.500 0.000
O8 0.500 0.500 0.000



Density functional theory data (PBE+U) for an optimized crystal structure of Li3Mn2O5.

Results
space-group type	No. 2
raw total energy	-6.32	eV/atom
relative energy among the computed polymorphs	36	meV per atom
energy of formation	-2.11	eV/atom

abc: 2.956 6.001 10.429
angles: 97.55 96.99 93.16
Sites, in units of the cell vectors:
Li1 0.600 0.300 0.200
Li2 0.600 0.800 0.200
Li3 0.004 0.516 0.019
Li4 0.196 0.084 0.381
Li5 0.396 0.704 0.802
Li6 0.804 0.896 0.598
Mn1 0.183 0.605 0.390
Mn2 0.791 0.402 0.600
Mn3 0.016 0.995 0.010
Mn4 0.409 0.197 0.800
O1 0.529 0.218 0.995
O2 0.672 0.382 0.405
O3 0.094 0.049 0.186
O4 0.106 0.551 0.214
O5 0.865 0.440 0.795
O6 0.335 0.160 0.605
O7 0.251 0.638 0.589
O8 0.949 0.962 0.811
O9 0.708 0.819 0.399
O10 0.492 0.781 0.001



Density functional theory data (PBE+U) for an optimized crystal structure of CaMn3V4O12.

Results
space-group type	No. 1
raw total energy	-7.71	eV/atom
relative energy among the computed polymorphs	0	meV per atom
energy of formation	-2.45	eV/atom

abc: 7.515 7.551 7.555
angles: 89.84 90.08 89.92
Sites, in units of the cell vectors:
Ca1 0.002 0.001 0.999
Ca2 0.498 0.499 0.501
Mn1 0.493 0.000 0.500
Mn2 0.000 0.999 0.500
Mn3 0.501 0.499 0.999
Mn4 0.500 0.000 0.999
Mn5 0.000 0.500 0.502
Mn6 0.001 0.501 0.000
V1 0.249 0.251 0.250
V2 0.750 0.750 0.750
V3 0.251 0.750 0.750
V4 0.749 0.249 0.250
V5 0.750 0.250 0.750
V6 0.250 0.750 0.250
V7 0.250 0.250 0.750
V8 0.750 0.750 0.250
O1 0.204 0.306 0.508
O2 0.704 0.805 0.009
O3 0.703 0.190 0.999
O4 0.202 0.689 0.500
O5 0.797 0.310 0.501
O6 0.298 0.811 0.000
O7 0.296 0.194 0.992
O8 0.797 0.695 0.491
O9 0.503 0.206 0.688
O10 0.005 0.707 0.188
O11 0.992 0.706 0.807
O12 0.493 0.207 0.305
O13 0.508 0.793 0.694
O14 0.008 0.294 0.193
O15 0.997 0.296 0.813
O16 0.496 0.792 0.311
O17 0.302 0.508 0.795
O18 0.803 0.008 0.293
O19 0.191 0.000 0.299
O20 0.690 0.500 0.797
O21 0.311 0.499 0.202
O22 0.811 0.000 0.704
O23 0.198 0.992 0.706
O24 0.700 0.492 0.205



Density functional theory data (PBE+U) for an optimized crystal structure of BaNi4O8.

Results
space-group type	No. 162
raw total energy	-4.59	eV/atom
relative energy among the computed polymorphs	410	meV per atom
energy of formation	-0.83	eV/atom

abc: 5.485 5.485 7.739
angles: 90.00 90.00 120.00
Sites, in units of the cell vectors:
Ba1 0.000 0.000 0.000
Ni1 0.333 0.667 0.765
Ni2 0.667 0.333 0.765
Ni3 0.333 0.667 0.235
Ni4 0.667 0.333 0.235
O1 0.360 0.360 0.707
O2 0.640 0.000 0.707
O3 0.000 0.640 0.707
O4 0.640 0.640 0.293
O5 0.000 0.360 0.293
O6 0.360 0.000 0.293
O7 0.333 0.667 0.000
O8 0.667 0.333 0.000



Density functional theory data (PBE+U) for an optimized crystal structure of Li9Co7O16.

Results
space-group type	No. 2
raw total energy	-5.57	eV/atom
relative energy among the computed polymorphs	46	meV per atom
energy of formation	-1.71	eV/atom

abc: 5.070 5.836 9.941
angles: 90.24 100.00 106.44
Sites, in units of the cell vectors:
Li1 0.498 0.874 0.625
Li2 0.503 0.376 0.626
Li3 0.502 0.126 0.375
Li4 0.497 0.624 0.374
Li5 0.493 0.373 0.120
Li6 0.503 0.877 0.121
Li7 0.507 0.627 0.880
Li8 0.497 0.123 0.879
Li9 0.000 0.000 0.000
Co1 0.998 0.753 0.754
Co2 0.000 0.500 0.000
Co3 0.004 0.249 0.759
Co4 0.000 0.000 0.500
Co5 0.000 0.500 0.500
Co6 0.002 0.247 0.246
Co7 0.996 0.751 0.241
O1 0.213 0.566 0.682
O2 0.230 0.045 0.691
O3 0.228 0.807 0.436
O4 0.226 0.307 0.428
O5 0.227 0.073 0.196
O6 0.225 0.542 0.183
O7 0.228 0.320 0.932
O8 0.219 0.788 0.927
O9 0.772 0.193 0.564
O10 0.774 0.693 0.572
O11 0.787 0.434 0.318
O12 0.770 0.955 0.309
O13 0.772 0.680 0.068
O14 0.781 0.212 0.073
O15 0.773 0.927 0.804
O16 0.775 0.458 0.817



The highest raw total energy belongs to which entry?
BaNi4O8